Material: Li19Fe20As20
Method: DFT, PBE
State: relaxed

Cell lengths 8.376, 8.466, 13.019 Å; angles 97.63, 105.00, 89.54 degrees
Atoms (fractional coordinates):
Li: 0.418 0.081 0.668
Li: 0.783 0.015 0.830
Li: 0.819 0.284 0.668
Li: 0.616 0.184 0.169
Li: 0.181 0.215 0.830
Li: 0.984 0.116 0.332
Li: 0.018 0.383 0.168
Li: 0.215 0.483 0.668
Li: 0.383 0.316 0.332
Li: 0.583 0.416 0.832
Li: 0.617 0.687 0.668
Li: 0.417 0.584 0.168
Li: 0.782 0.517 0.332
Li: 0.983 0.617 0.830
Li: 0.819 0.784 0.169
Li: 0.382 0.816 0.830
Li: 0.183 0.716 0.332
Li: 0.217 0.984 0.168
Li: 0.583 0.917 0.332
Fe: 0.345 0.048 0.999
Fe: 0.751 0.249 0.000
Fe: 0.549 0.151 0.501
Fe: 0.050 0.148 0.999
Fe: 0.849 0.050 0.501
Fe: 0.150 0.450 0.000
Fe: 0.949 0.350 0.499
Fe: 0.448 0.349 0.000
Fe: 0.254 0.252 0.501
Fe: 0.549 0.650 0.000
Fe: 0.351 0.549 0.501
Fe: 0.646 0.449 0.501
Fe: 0.852 0.551 0.000
Fe: 0.955 0.852 0.999
Fe: 0.748 0.750 0.500
Fe: 0.248 0.752 0.999
Fe: 0.052 0.650 0.501
Fe: 0.153 0.950 0.501
Fe: 0.450 0.850 0.499
Fe: 0.651 0.950 0.001
As: 0.502 0.125 0.884
As: 0.303 0.030 0.383
As: 0.902 0.327 0.883
As: 0.705 0.228 0.385
As: 0.895 0.072 0.116
As: 0.097 0.173 0.616
As: 0.103 0.425 0.384
As: 0.305 0.527 0.884
As: 0.297 0.270 0.116
As: 0.497 0.374 0.618
As: 0.705 0.728 0.884
As: 0.503 0.624 0.383
As: 0.896 0.574 0.616
As: 0.697 0.473 0.117
As: 0.104 0.927 0.882
As: 0.904 0.827 0.384
As: 0.294 0.773 0.617
As: 0.096 0.676 0.117
As: 0.701 0.974 0.617
As: 0.496 0.875 0.115

Output
For the energy of formation, the calculation gives -0.42 eV per atom. The calculation puts the energy at -0.4032 Ry per atom. For the total magnetization, the calculation gives 12.77 μB/f.u. The symmetry is P1 (1).